Entry 1:
DFT (PBE) results for a geometry-optimized S structure.

ΔE to the lowest computed polymorph	344	meV/atom
formation energy from the elements	0.3444	eV per atom
total energy	-15.2	eV per cell
crystal system	monoclinic

abc: 6.009 3.773 6.036
angles: 90.00 113.47 90.00
Space group P2/m (No. 10)
One atom of each set of equivalent atoms:
S  0.021  0.000  0.166 x2
S  0.332  0.500  0.476 x2

Entry 2:
DFT (PBE) results for a geometry-optimized S structure.

ΔE to the lowest computed polymorph	348	meV/atom
formation energy from the elements	0.3476	eV per atom
total energy	-15.2	eV per cell
crystal system	monoclinic

abc: 7.331 4.938 3.723
angles: 90.00 90.46 90.00
Space group P2_1/c (No. 14)
One atom of each set of equivalent atoms:
S  0.239  0.153  0.227 x4

Entry 3:
DFT (PBE) results for a geometry-optimized S structure.

ΔE to the lowest computed polymorph	21	meV/atom
formation energy from the elements	0.0206	eV per atom
total energy	-296.3	eV per cell
crystal system	orthorhombic

abc: 8.261 12.498 22.767
angles: 90.00 90.00 90.00
Space group P2_12_12_1 (No. 19)
One atom of each set of equivalent atoms:
S  0.007  0.178  0.411 x4
S  0.018  0.437  0.568 x4
S  0.021  0.199  0.266 x4
S  0.025  0.913  0.588 x4
S  0.028  0.934  0.733 x4
S  0.029  0.699  0.435 x4
S  0.061  0.627  0.674 x4
S  0.062  0.891  0.329 x4
S  0.105  0.299  0.607 x4
S  0.114  0.261  0.343 x4
S  0.123  0.564  0.395 x4
S  0.127  0.996  0.657 x4
S  0.155  0.538  0.742 x4
S  0.157  0.564  0.598 x4
S  0.160  0.804  0.261 x4
S  0.160  0.830  0.405 x4
S  0.180  0.491  0.942 x4
S  0.199  0.756  0.059 x4

Entry 4:
DFT (PBE) results for a geometry-optimized S structure.

ΔE to the lowest computed polymorph	11	meV/atom
formation energy from the elements	0.0105	eV per atom
total energy	-330.1	eV per cell
crystal system	monoclinic

abc: 14.091 10.227 19.210
angles: 90.00 111.23 90.00
Space group P2 (No. 3)
One atom of each set of equivalent atoms:
S  0.000  0.000  0.000 x1
S  0.000  0.499  0.500 x1
S  0.029  0.461  0.958 x2
S  0.030  0.959  0.458 x2
S  0.031  0.201  0.768 x2
S  0.039  0.691  0.278 x2
S  0.074  0.380  0.449 x2
S  0.075  0.880  0.950 x2
S  0.100  0.639  0.801 x2
S  0.102  0.116  0.301 x2
S  0.141  0.543  0.282 x2
S  0.143  0.320  0.984 x2
S  0.144  0.060  0.793 x2
S  0.144  0.820  0.485 x2
S  0.169  0.025  0.234 x2
S  0.173  0.522  0.748 x2
S  0.201  0.583  0.201 x2
S  0.204  0.063  0.710 x2
S  0.213  0.332  0.529 x2
S  0.214  0.833  0.031 x2
S  0.249  0.644  0.700 x2
S  0.255  0.164  0.206 x2
S  0.277  0.409  0.052 x2
S  0.277  0.909  0.553 x2
S  0.314  0.480  0.531 x2
S  0.315  0.981  0.032 x2
S  0.318  0.202  0.737 x2
S  0.325  0.705  0.248 x2
S  0.342  0.495  0.983 x2
S  0.342  0.995  0.483 x2
S  0.375  0.436  0.450 x2
S  0.375  0.937  0.951 x2
S  0.389  0.687  0.782 x2
S  0.396  0.170  0.291 x2
S  0.429  0.355  0.957 x2
S  0.429  0.854  0.458 x2
S  0.451  0.110  0.803 x2
S  0.451  0.587  0.299 x2
S  0.485  0.028  0.268 x2
S  0.488  0.539  0.781 x2
S  0.500  0.317  0.500 x1
S  0.500  0.817  0.000 x1

Entry 5:
DFT (PBE) results for a geometry-optimized S structure.

ΔE to the lowest computed polymorph	28	meV/atom
formation energy from the elements	0.0284	eV per atom
total energy	-361.5	eV per cell
crystal system	orthorhombic

abc: 16.270 9.021 20.321
angles: 90.00 90.00 90.00
Space group Pca2_1 (No. 29)
One atom of each set of equivalent atoms:
S  0.007  0.210  0.052 x4
S  0.028  0.495  0.825 x4
S  0.030  0.856  0.460 x4
S  0.031  0.070  0.262 x4
S  0.051  0.542  0.244 x4
S  0.072  0.904  0.202 x4
S  0.082  0.456  0.547 x4
S  0.084  0.660  0.593 x4
S  0.086  0.982  0.795 x4
S  0.108  0.038  0.468 x4
S  0.118  0.730  0.258 x4
S  0.131  0.761  0.004 x4
S  0.144  0.541  0.793 x4
S  0.161  0.478  0.468 x4
S  0.167  0.157  0.670 x4
S  0.167  0.955  0.718 x4
S  0.179  0.587  0.061 x4
S  0.198  0.950  0.018 x4
S  0.220  0.355  0.803 x4
S  0.222  0.422  0.000 x4
S  0.224  0.988  0.437 x4
S  0.242  0.287  0.212 x4

Entry 6:
DFT (PBE) results for a geometry-optimized S structure.

ΔE to the lowest computed polymorph	32	meV/atom
formation energy from the elements	0.0318	eV per atom
total energy	-164.2	eV per cell
crystal system	monoclinic

abc: 13.300 10.924 9.185
angles: 90.00 105.90 90.00
Space group C2/c (No. 15)
One atom of each set of equivalent atoms:
S  0.072  0.046  0.232 x8
S  0.072  0.445  0.731 x8
S  0.078  0.189  0.083 x8
S  0.160  0.413  0.354 x8
S  0.199  0.301  0.197 x8

Entry 7:
DFT (PBE) results for a geometry-optimized S structure.

ΔE to the lowest computed polymorph	17	meV/atom
formation energy from the elements	0.0167	eV per atom
total energy	-148.3	eV per cell
crystal system	monoclinic

abc: 11.169 7.818 17.363
angles: 90.00 128.55 90.00
Space group P2_1/c (No. 14)
One atom of each set of equivalent atoms:
S  0.009  0.056  0.318 x4
S  0.145  0.019  0.660 x4
S  0.167  0.054  0.154 x4
S  0.215  0.573  0.912 x4
S  0.256  0.234  0.746 x4
S  0.298  0.048  0.022 x4
S  0.334  0.538  0.647 x4
S  0.336  0.029  0.552 x4
S  0.445  0.249  0.561 x4

Entry 8:
DFT (PBE) results for a geometry-optimized S structure.

ΔE to the lowest computed polymorph	355	meV/atom
formation energy from the elements	0.3550	eV per atom
total energy	-15.1	eV per cell
crystal system	triclinic

abc: 3.061 6.221 6.265
angles: 93.33 90.27 90.07
Space group P-1 (No. 2)
One atom of each set of equivalent atoms:
S  0.000  0.152  0.499 x2
S  0.499  0.494  0.848 x2

Entry 9:
DFT (PBE) results for a geometry-optimized S structure.

ΔE to the lowest computed polymorph	14	meV/atom
formation energy from the elements	0.0141	eV per atom
total energy	-329.8	eV per cell
crystal system	orthorhombic

abc: 19.746 14.212 9.558
angles: 90.00 90.00 90.00
Space group Pbcn (No. 60)
One atom of each set of equivalent atoms:
S  0.049  0.015  0.211 x8
S  0.051  0.303  0.232 x8
S  0.073  0.398  0.075 x8
S  0.094  0.475  0.671 x8
S  0.096  0.206  0.666 x8
S  0.100  0.095  0.805 x8
S  0.179  0.199  0.536 x8
S  0.194  0.476  0.733 x8
S  0.242  0.231  0.133 x8
S  0.249  0.090  0.080 x8